Ba2CuS2Cl2 | PBE | relaxed

Summary:
SG: I4/mmm
Mass density in g/cm3: 4.2
VASP energy in eV per atom: -4.542
Total magnetic moment in μB/cell: 0.021
ΔH_f (0 K) in meV per atom: -2018
Crystal system: tetragonal

POSCAR file:
```
Ba2CuS2Cl2
1.0
-2.331 2.331 8.591
2.331 -2.331 8.591
2.331 2.331 -8.591
Ba Cu S Cl
2 1 2 2
Direct
0.627 0.627 0.000
0.373 0.373 0.000
0.000 0.000 0.000
0.000 0.500 0.500
0.500 0.000 0.500
0.185 0.185 0.000
0.815 0.815 0.000
```